1.
Below is a geometry-optimized Tl3AsSe4 structure, with properties calculated at the PBE level.

Output
total energy	-3.50	eV per atom
space-group type	Pnma

abc: 9.324 9.727 11.535
angles: 90.00 90.00 90.00
Atoms (fractional coordinates):
1 Tl 0.935 0.195 0.055
2 Tl 0.065 0.805 0.945
3 Tl 0.065 0.805 0.555
4 Tl 0.565 0.695 0.555
5 Tl 0.935 0.195 0.445
6 Tl 0.435 0.305 0.445
7 Tl 0.395 0.111 0.750
8 Tl 0.605 0.889 0.250
9 Tl 0.435 0.305 0.055
10 Tl 0.105 0.611 0.250
11 Tl 0.565 0.695 0.945
12 Tl 0.895 0.389 0.750
13 Se 0.308 0.772 0.750
14 Se 0.646 0.030 0.918
15 Se 0.354 0.970 0.418
16 Se 0.492 0.570 0.250
17 Se 0.192 0.272 0.250
18 Se 0.992 0.930 0.250
19 Se 0.146 0.470 0.582
20 Se 0.508 0.430 0.750
21 Se 0.854 0.530 0.082
22 Se 0.808 0.728 0.750
23 Se 0.354 0.970 0.082
24 Se 0.008 0.070 0.750
25 Se 0.692 0.228 0.250
26 Se 0.646 0.030 0.582
27 Se 0.854 0.530 0.418
28 Se 0.146 0.470 0.918
29 As 0.223 0.029 0.250
30 As 0.777 0.971 0.750
31 As 0.723 0.471 0.250
32 As 0.277 0.529 0.750

***

2.
Below is a geometry-optimized Cs6Br4O structure, with properties calculated at the PBE level.

Output
total energy	-3.11	eV per atom
space-group type	R-3c

abc: 10.040 10.040 10.040
angles: 88.85 88.85 88.85
Atoms (fractional coordinates):
1 Cs 0.223 0.557 0.433
2 Cs 0.723 0.933 0.057
3 Cs 0.443 0.567 0.777
4 Cs 0.433 0.223 0.557
5 Cs 0.943 0.277 0.067
6 Cs 0.933 0.057 0.723
7 Cs 0.277 0.067 0.943
8 Cs 0.567 0.777 0.443
9 Cs 0.557 0.433 0.223
10 Cs 0.057 0.723 0.933
11 Cs 0.777 0.443 0.567
12 Cs 0.067 0.943 0.277
13 Br 0.250 0.873 0.627
14 Br 0.750 0.750 0.750
15 Br 0.250 0.250 0.250
16 Br 0.127 0.373 0.750
17 Br 0.627 0.250 0.873
18 Br 0.373 0.750 0.127
19 Br 0.750 0.127 0.373
20 Br 0.873 0.627 0.250
21 O 0.500 0.500 0.500
22 O 0.000 0.000 0.000

***

3.
Below is a geometry-optimized Na3H7C2O6 structure, with properties calculated at the PBE level.

Output
total energy	-4.98	eV per atom
total magnetization	4.0	Bohr magnetons per cell
space-group type	C2/c

abc: 11.197 11.197 10.015
angles: 76.22 76.22 18.29
Atoms (fractional coordinates):
1 Na 0.216 0.497 0.423
2 Na 0.784 0.503 0.577
3 Na 0.497 0.216 0.923
4 Na 0.759 0.241 0.250
5 Na 0.503 0.784 0.077
6 Na 0.241 0.759 0.750
7 H 0.500 0.500 0.500
8 H 0.482 0.033 0.614
9 H 0.937 0.625 0.832
10 H 0.518 0.967 0.386
11 H 0.905 0.736 0.765
12 H 0.033 0.482 0.114
13 H 0.736 0.905 0.265
14 H 0.264 0.095 0.735
15 H 0.063 0.375 0.168
16 H 0.095 0.264 0.235
17 H 0.500 0.500 0.000
18 H 0.375 0.063 0.668
19 H 0.967 0.518 0.886
20 H 0.625 0.937 0.332
21 O 0.332 0.570 0.984
22 O 0.327 0.818 0.289
23 O 0.750 0.969 0.580
24 O 0.818 0.327 0.789
25 O 0.031 0.250 0.920
26 O 0.969 0.750 0.080
27 O 0.668 0.430 0.016
28 O 0.673 0.182 0.711
29 O 0.570 0.332 0.484
30 O 0.182 0.673 0.211
31 O 0.250 0.031 0.420
32 O 0.430 0.668 0.516
33 C 0.670 0.154 0.596
34 C 0.154 0.670 0.096
35 C 0.846 0.330 0.904
36 C 0.330 0.846 0.404

***

4.
Below is a geometry-optimized Sr2Ge2Pb structure, with properties calculated at the PBE level.

Output
total energy	-3.80	eV per atom
space-group type	Cmmm

abc: 7.987 7.987 4.554
angles: 90.00 90.00 149.11
Atoms (fractional coordinates):
1 Pb 0.000 0.000 0.000
2 Sr 0.632 0.368 0.500
3 Sr 0.368 0.632 0.500
4 Ge 0.203 0.797 0.000
5 Ge 0.797 0.203 0.000